Compound: Dy3CuGeS7
Source: the Materials Project database
Functional: PBE
Structure: optimized geometry

- ΔH_f (0 K): -1725 meV per atom
- Total magnetization: 0.0 μB per cell
- Crystal system: hexagonal

Unit cell a=9.884 b=9.884 c=5.815 alpha=90.00 beta=90.00 gamma=120.00
Atoms (fractional coordinates):
Dy  0.643  0.869  0.754
S  0.902  0.482  0.999
Ge  0.333  0.667  0.336
Dy  0.131  0.774  0.754
S  0.420  0.902  0.499
S  0.161  0.259  0.217
S  0.098  0.518  0.499
Dy  0.357  0.131  0.254
S  0.259  0.098  0.717
S  0.518  0.420  0.999
Cu  0.000  0.000  0.696
S  0.741  0.902  0.217
S  0.667  0.333  0.457
S  0.098  0.839  0.217
Dy  0.774  0.643  0.254
Cu  0.000  0.000  0.196
S  0.902  0.161  0.717
S  0.482  0.580  0.499
S  0.839  0.741  0.717
Dy  0.869  0.226  0.254
S  0.580  0.098  0.999
Dy  0.226  0.357  0.754
S  0.333  0.667  0.957
Ge  0.667  0.333  0.836

***

Compound: Dy2In3Cu
Source: the Materials Project database
Functional: PBE
Structure: optimized geometry

- Distance to the lowest polymorph of the same formula: 599 meV/atom
- ΔH_f (0 K): 203 meV per atom
- Total magnetization: 0.0 μB per cell
- Crystal system: orthorhombic

Unit cell a=3.383 b=5.336 c=9.360 alpha=89.97 beta=90.00 gamma=90.00
Atoms (fractional coordinates):
Dy  0.500  0.500  0.489
Dy  0.500  0.000  0.016
Cu  0.500  0.000  0.332
In  0.500  0.500  0.174
In  0.500  0.000  0.659
In  0.500  0.500  0.830

***

Compound: Dy2In3Cu
Source: the Materials Project database
Functional: PBE
Structure: optimized geometry

- Distance to the lowest polymorph of the same formula: 0 meV/atom
- ΔH_f (0 K): -396 meV per atom
- Total magnetization: 0.0 μB per cell
- Crystal system: trigonal

Unit cell a=4.716 b=4.716 c=7.450 alpha=90.00 beta=90.00 gamma=120.00
Atoms (fractional coordinates):
Dy  0.000  0.000  0.737
Dy  0.000  0.000  0.277
In  0.333  0.667  0.516
Cu  0.667  0.333  0.455
In  0.667  0.333  0.067
In  0.333  0.667  0.948

***

Compound: DyInCu4
Source: the Materials Project database
Functional: PBE
Structure: optimized geometry

- ΔH_f (0 K): -276 meV per atom
- Crystal system: cubic

Unit cell a=5.118 b=5.118 c=5.118 alpha=60.00 beta=60.00 gamma=60.00
Atoms (fractional coordinates):
Dy  0.000  0.000  0.000
Cu  0.625  0.625  0.625
Cu  0.625  0.126  0.625
Cu  0.625  0.625  0.126
Cu  0.126  0.625  0.625
In  0.250  0.250  0.250

***

Compound: DyIn3Cu2
Source: the Materials Project database
Functional: PBE
Structure: optimized geometry

- ΔH_f (0 K): -89 meV per atom
- Total magnetization: 0.0 μB per cell
- Crystal system: hexagonal

Unit cell a=5.824 b=5.824 c=4.258 alpha=90.00 beta=90.00 gamma=120.00
Atoms (fractional coordinates):
In  0.000  0.500  0.500
Cu  0.667  0.333  0.000
In  0.500  0.000  0.500
In  0.500  0.500  0.500
Dy  0.000  0.000  0.000
Cu  0.333  0.667  0.000

***

Compound: Dy2CuIr
Source: the Materials Project database
Functional: PBE
Structure: optimized geometry

- ΔH_f (0 K): -601 meV per atom
- Total magnetization: 0.0 μB per cell
- Crystal system: cubic

Unit cell a=4.859 b=4.859 c=4.859 alpha=60.00 beta=60.00 gamma=60.00
Atoms (fractional coordinates):
Cu  0.500  0.500  0.500
Ir  0.000  0.000  0.000
Dy  0.750  0.750  0.750
Dy  0.250  0.250  0.250